# 1
Compound: NaCaYS3O12
Source: the Materials Project database
Functional: GGA-PBE
Structure: relaxed

Electronic total energy, eV/atom: -6.63

a = 9.198 Å, b = 9.198 Å, c = 24.255 Å
α = 90.00°, β = 90.00°, γ = 120.00°
Element x y z (fractional)
O 0.979 0.194 0.300
O 0.821 0.023 0.089
O 0.644 0.512 0.922
O 0.139 0.452 0.967
O 0.857 0.548 0.034
O 0.215 0.194 0.800
O 0.518 0.648 0.578
O 0.452 0.143 0.534
O 0.644 0.132 0.422
O 0.202 0.023 0.589
O 0.312 0.452 0.467
O 0.155 0.690 0.756
O 0.352 0.482 0.078
O 0.202 0.179 0.089
O 0.119 0.476 0.867
O 0.312 0.861 0.967
O 0.977 0.179 0.589
O 0.806 0.021 0.800
O 0.535 0.845 0.756
O 0.310 0.465 0.756
O 0.019 0.815 0.411
O 0.979 0.785 0.800
O 0.524 0.643 0.867
O 0.130 0.648 0.078
O 0.119 0.643 0.367
O 0.310 0.845 0.256
O 0.191 0.215 0.700
O 0.518 0.870 0.078
O 0.882 0.527 0.133
O 0.185 0.981 0.911
O 0.352 0.870 0.578
O 0.185 0.204 0.411
O 0.139 0.688 0.467
O 0.691 0.143 0.034
O 0.686 0.537 0.244
O 0.463 0.314 0.744
O 0.646 0.527 0.633
O 0.191 0.976 0.200
O 0.357 0.476 0.367
O 0.851 0.537 0.744
O 0.821 0.798 0.589
O 0.857 0.309 0.534
O 0.215 0.021 0.300
O 0.473 0.354 0.133
O 0.977 0.798 0.089
O 0.796 0.981 0.411
O 0.024 0.809 0.700
O 0.548 0.861 0.467
O 0.548 0.688 0.967
O 0.463 0.149 0.244
O 0.785 0.809 0.200
O 0.882 0.354 0.633
O 0.488 0.356 0.422
O 0.851 0.314 0.244
O 0.868 0.512 0.422
O 0.535 0.690 0.256
O 0.452 0.309 0.034
O 0.796 0.815 0.911
O 0.868 0.356 0.922
O 0.646 0.118 0.133
O 0.019 0.204 0.911
O 0.024 0.215 0.200
O 0.785 0.976 0.700
O 0.155 0.465 0.256
O 0.806 0.785 0.300
O 0.488 0.132 0.922
O 0.130 0.482 0.578
O 0.473 0.118 0.633
O 0.686 0.149 0.744
O 0.357 0.881 0.867
O 0.691 0.548 0.534
O 0.524 0.881 0.367
Na 0.000 0.000 0.498
Na 0.000 0.000 0.998
Na 0.667 0.333 0.831
Na 0.333 0.667 0.165
Na 0.333 0.667 0.665
Na 0.667 0.333 0.331
S 0.962 0.628 0.084
S 0.706 0.000 0.751
S 0.666 0.628 0.584
S 0.333 0.961 0.917
S 0.372 0.038 0.584
S 0.295 0.294 0.751
S 0.333 0.372 0.417
S 0.000 0.705 0.751
S 0.628 0.961 0.417
S 0.039 0.372 0.917
S 0.039 0.667 0.417
S 0.372 0.334 0.084
S 0.295 0.000 0.251
S 0.706 0.705 0.251
S 0.628 0.667 0.917
S 0.666 0.038 0.084
S 0.962 0.334 0.584
S 0.000 0.294 0.251
Ca 0.667 0.333 0.684
Ca 0.000 0.000 0.851
Ca 0.000 0.000 0.351
Ca 0.667 0.333 0.184
Ca 0.333 0.667 0.518
Ca 0.333 0.667 0.018
Y 0.667 0.333 0.483
Y 0.333 0.667 0.816
Y 0.667 0.333 0.983
Y 0.000 0.000 0.649
Y 0.333 0.667 0.316
Y 0.000 0.000 0.149

=====

# 2
Compound: HfCoP
Source: the Materials Project database
Functional: GGA-PBE
Structure: relaxed

SG: Pnma, No. 62
Electronic total energy, eV/atom: -8.62

a = 3.667 Å, b = 6.284 Å, c = 7.087 Å
α = 90.00°, β = 90.00°, γ = 90.00°
Element x y z (fractional)
Co 0.750 0.361 0.938
Co 0.250 0.139 0.438
Co 0.750 0.861 0.562
Co 0.250 0.639 0.062
Hf 0.750 0.980 0.182
Hf 0.250 0.520 0.682
Hf 0.750 0.480 0.318
Hf 0.250 0.020 0.818
P 0.250 0.272 0.116
P 0.250 0.772 0.384
P 0.750 0.228 0.616
P 0.750 0.728 0.884

=====

# 3
Compound: Li3Ac
Source: the Materials Project database
Functional: GGA-PBE
Structure: relaxed

SG: I4/mmm, No. 139
Electronic total energy, eV/atom: -2.28

a = 5.973 Å, b = 5.973 Å, c = 5.973 Å
α = 132.82°, β = 132.82°, γ = 68.94°
Element x y z (fractional)
Li 0.250 0.750 0.500
Li 0.500 0.500 0.000
Li 0.750 0.250 0.500
Ac 0.000 0.000 0.000

=====

# 4
Compound: MgCu4As4S4
Source: the Materials Project database
Functional: GGA-PBE
Structure: relaxed

SG: P1, No. 1
Electronic total energy, eV/atom: -4.29

a = 3.730 Å, b = 5.672 Å, c = 12.262 Å
α = 84.28°, β = 89.12°, γ = 89.42°
Element x y z (fractional)
Mg 0.797 0.174 0.642
As 0.770 0.782 0.487
As 0.779 0.648 0.019
As 0.282 0.348 0.999
As 0.264 0.077 0.465
Cu 0.276 0.375 0.309
Cu 0.780 0.897 0.174
Cu 0.280 0.101 0.849
Cu 0.788 0.659 0.694
S 0.784 0.872 0.843
S 0.291 0.409 0.712
S 0.772 0.603 0.312
S 0.278 0.138 0.169

=====

# 5
Compound: Sc4FeSi7
Source: the Materials Project database
Functional: GGA-PBE
Structure: relaxed

SG: Pmm2, No. 25
Electronic total energy, eV/atom: -6.43

a = 3.645 Å, b = 3.850 Å, c = 14.076 Å
α = 90.00°, β = 90.00°, γ = 90.00°
Element x y z (fractional)
Si 0.500 0.000 0.543
Si 0.500 0.500 0.054
Si 0.000 0.500 0.943
Si 0.500 0.500 0.753
Si 0.000 0.500 0.269
Si 0.000 0.000 0.741
Si 0.500 0.000 0.270
Sc 0.500 0.500 0.414
Sc 0.000 0.500 0.596
Sc 0.000 0.000 0.111
Sc 0.500 0.000 0.899
Fe 0.000 0.000 0.407

=====

# 6
Compound: NaAsO6
Source: the Materials Project database
Functional: GGA-PBE
Structure: relaxed

SG: P2_1, No. 4
Electronic total energy, eV/atom: -5.01

a = 4.616 Å, b = 6.614 Å, c = 8.729 Å
α = 74.93°, β = 90.00°, γ = 90.00°
Element x y z (fractional)
O 0.839 0.518 0.737
O 0.950 0.765 0.946
O 0.567 0.515 0.740
O 0.231 0.078 0.533
O 0.731 0.922 0.467
O 0.097 0.023 0.229
O 0.067 0.485 0.260
O 0.597 0.977 0.771
O 0.339 0.482 0.263
O 0.923 0.959 0.851
O 0.423 0.041 0.149
O 0.450 0.235 0.054
As 0.109 0.871 0.440
As 0.609 0.129 0.560
Na 0.950 0.254 0.986
Na 0.450 0.746 0.014

=====

The records above give, respectively, theoretical density values of 2.5 10.9 3.7 4.5 3.6 2.5 Mg/m³.